120
Lattice="9.3428 -0.0029 -0.0193 -4.6739 8.0896 0.0193 -0.0504 0.0291 23.3085" Properties=species:S:1:pos:R:3 comment="Na3Y2P3O12 | the Materials Project database | PBE | relaxed" ef_kj_per_mol_atoms=-298.4 pbc="T T T"
Na -4.6975 8.1031 11.6738
Na -4.6722 8.0887 0.0195
Na 4.3753 2.5871 19.4229
Na 4.6413 2.9895 7.7687
Na -0.0085 5.3946 3.8919
Na -0.0324 5.4114 15.5462
Na 5.9346 0.0305 5.8123
Na 1.6663 2.9039 5.8283
Na 2.9619 5.2063 17.4825
Na 7.5846 2.9465 17.4666
Na -3.0004 5.6235 13.5932
Na 1.6609 7.8877 13.5924
Na -1.6762 7.8589 1.9390
Na -1.3064 2.6900 1.9381
Na 5.9172 5.3915 21.3979
Na 6.3217 0.2639 21.3544
Na 7.6264 2.4655 9.7002
Na 2.9835 0.2520 9.7437
Y 4.6299 7.9714 8.1476
Y 0.0551 0.1060 19.8018
Y 0.0695 0.0941 15.1595
Y 4.6474 7.9650 3.5053
Y 4.5511 2.6512 15.9052
Y 4.6737 2.8052 4.2510
Y 4.5175 2.7832 22.9323
Y 4.5425 2.7683 11.2781
Y 0.1219 5.3464 0.3830
Y 0.0745 5.3225 12.0372
Y -0.0581 5.3969 7.3987
Y -0.0593 5.4531 19.0529
P 2.8331 0.0346 5.8139
P 3.1778 5.6208 5.8432
P 7.9417 2.3992 5.7973
P 1.3648 2.5389 17.4975
P 6.0302 5.6304 17.4682
P 6.5368 0.0240 17.4515
P 7.4096 2.7095 13.5886
P 3.2486 0.2073 13.4836
P 3.2476 5.2077 13.6999
P 6.1389 5.1552 1.8294
P 6.0523 0.3005 1.9344
P 1.8079 2.6559 2.0456
P 2.8114 5.4594 21.2513
P -1.5000 2.9654 21.3921
P -1.4301 7.8284 21.4783
P 1.3760 7.8885 9.7378
P 1.3719 2.9077 9.5971
P -2.8005 5.3965 9.8241
O 1.9275 0.1417 7.0727
O 3.7251 6.3009 7.1045
O 8.2551 1.5375 7.0524
O 1.0495 1.7248 18.7587
O 5.4847 6.3611 18.7269
O 7.4397 0.1834 18.7066
O 2.7705 7.9725 16.2161
O 0.8014 1.8190 16.2553
O -3.6280 6.4560 16.2184
O 3.5195 6.4686 4.6011
O -0.8250 1.6866 4.5619
O -2.7109 7.9861 4.5642
O 6.5105 2.8737 14.8459
O 3.8370 0.9963 14.6708
O 3.5305 4.4460 15.0093
O 5.7497 4.2511 3.0166
O 5.4606 0.9971 3.1917
O 2.6090 2.7917 3.3551
O 2.7774 2.5407 0.8517
O 5.6129 4.5404 0.5121
O 5.7318 1.1608 0.6797
O 3.5180 0.9701 12.1664
O 3.8320 4.4256 12.5060
O 6.5043 2.5570 12.3339
O 1.8412 5.6014 22.4440
O -0.9541 3.6587 22.6613
O -1.1365 7.0380 22.7794
O 1.0485 7.0691 11.0071
O 0.7637 3.6770 10.7897
O -1.9692 5.5374 11.1252
O -1.8344 5.2229 8.6322
O 0.8207 7.1662 8.4811
O 1.0809 3.6631 8.2832
O -1.1521 3.8074 20.1354
O -0.7967 7.0785 20.2865
O 2.0118 5.3336 19.9374
O -3.6283 6.6988 9.6938
O 7.5843 0.0424 9.6512
O 0.6966 1.4991 9.6136
O 8.3990 1.5119 21.3054
O -2.9718 7.8941 21.3481
O 3.6937 6.7485 21.2678
O 8.2593 1.4140 13.6621
O -2.9541 8.0548 13.6256
O 3.9383 6.6085 13.6822
O -3.7586 6.6031 1.9714
O 7.5991 0.2124 2.0078
O 0.9401 1.3573 2.0280
O 5.6689 1.3075 17.3764
O 2.8938 2.7618 17.4333
O 5.3303 4.2335 17.4230
O 3.7493 4.1851 5.7791
O 6.3962 2.5090 5.7222
O 3.6929 1.3392 5.7688
O 3.7552 4.2373 21.3754
O 6.2818 2.8587 21.4179
O 3.9022 1.1426 21.4752
O 5.3593 1.2026 9.7636
O 2.9021 2.7014 9.7212
O 5.6557 4.1215 9.8210
O 0.8388 3.8630 1.9289
O -1.6465 5.2454 1.8641
O 0.7077 6.9945 1.8746
O -0.7222 6.9045 13.5184
O 1.7176 5.4434 13.5831
O -1.0599 3.9912 13.5288
O -0.8568 6.9242 5.8995
O 1.6233 5.5294 5.8769
O -0.7174 3.7899 5.8915
O 0.6667 3.9307 17.5312
O -1.7813 5.3812 17.5537
O 1.0028 6.8276 17.5458

=====

80
Lattice="-5.2870 -1.2588 0.5224 1.1744 -8.6218 -8.8900 3.9731 -12.6723 9.6744" Properties=species:S:1:pos:R:3 comment="Na7Y2P7O24 | the Materials Project database | PBE | relaxed" ef_kj_per_mol_atoms=-278.3 pbc="T T T"
Na 1.9690 -13.6246 -4.5528
Na 2.2184 -12.3489 1.0450
Na -0.1906 -2.8928 0.4299
Na 3.0221 -14.5020 4.9703
Na 0.6211 -17.1983 4.8267
Na 0.0511 -19.6601 0.8768
Na -0.7606 -5.3546 -3.5200
Na -2.2953 -10.1708 -7.7553
Na -0.9235 -13.7051 -1.4558
Na -2.1085 -8.9284 5.8595
Na -2.3578 -10.2040 0.2617
Na -3.1616 -8.0509 -3.6636
Na 2.1558 -12.3822 9.0620
Na 0.7841 -8.8478 2.7625
Y 0.2448 -15.9351 1.2481
Y -0.3843 -6.6179 0.0586
Y -1.3975 -11.3098 -4.2283
Y 1.2580 -11.2431 5.5350
P 3.5042 -16.8569 2.6440
P 2.5373 -14.8652 -1.1738
P -2.7902 -2.8897 -1.9178
P -1.3223 -6.9909 -6.4498
P 1.5358 -11.1355 -2.3227
P -3.6436 -5.6960 -1.3373
P 0.7854 -9.0922 -6.1619
P -2.1477 -4.7871 2.5414
P -2.6768 -7.6878 2.4805
P -1.6752 -11.4175 3.6294
P -0.9249 -13.4607 7.4686
P -0.2113 -8.7768 -2.0369
P 2.0083 -17.7658 -1.2347
P 0.0718 -13.7762 3.3436
O -2.4056 -11.2110 2.3159
O -3.1196 -6.0956 2.4334
O 1.6609 -7.1154 0.9461
O 1.9845 -20.5462 2.2018
O -1.3433 -13.0360 3.6875
O -2.3861 -6.3679 -0.8067
O 0.7654 -9.2725 -7.6659
O 0.0829 -10.2308 -5.4376
O 1.0749 -14.8141 -0.7150
O 0.3413 -13.6198 1.8311
O -0.9049 -13.2804 8.9726
O 0.2478 -9.1914 6.2273
O 2.2662 -11.3419 -1.0092
O -0.5472 -17.8120 2.3048
O 1.1718 -13.1603 4.2084
O -0.1097 -14.8489 7.0952
O 1.9708 -16.0988 6.5902
O -2.9806 -8.1404 3.8962
O -1.3113 -9.3926 -2.9017
O 2.9802 -16.4573 -1.1267
O -2.1103 -6.4542 -5.2834
O 2.9814 -18.9440 -1.0936
O 2.8411 -14.4125 -2.5895
O 3.3413 -18.4780 2.3672
O -0.3873 -13.3616 -4.9206
O 1.2038 -9.5170 -2.3808
O 3.6849 -16.6383 4.1322
O -0.4808 -8.9331 -0.5244
O -0.2279 -15.2574 3.6105
O -0.0298 -7.7040 -5.7885
O 2.6618 -9.9244 4.3067
O -3.8244 -5.9146 -2.8255
O 0.0884 -7.2956 -2.3038
O -3.4807 -4.0750 -1.0605
O 2.9852 -12.5202 6.3428
O -0.3329 -10.6986 3.8111
O -0.2224 -12.3221 6.7443
O -1.0700 -4.8844 1.4615
O 2.2467 -16.1850 2.1134
O -2.1240 -2.0067 -0.8951
O -1.2144 -7.7388 2.0217
O -3.1209 -3.6090 2.4003
O 0.4077 -4.7410 -0.9981
O -1.8004 -15.4376 0.3606
O -3.1247 -10.0327 -5.0361
O 0.9306 -17.6685 -0.1548
O -2.8012 -12.6285 -3.0000
O 0.1934 -11.8544 -2.5044

=====

Number 1: DFT total energy -7.306 eV per atom, size of the total moment 0.00 Bohr magnetons per cell. Number 2: DFT total energy -6.943 eV per atom, size of the total moment 0.00 Bohr magnetons per cell.